Compound: Na3CoO3
Source: Materials Project
Functional: GGA+U
Structure: optimized geometry

The calculation puts the formation enthalpy at 0 K at -1512.2 meV/atom. The total energy is -4.687 eV per atom.

a b c (Å): 4.5160 9.0620 9.2302
angles (deg): 90.00 90.00 90.00
Element x y z (fractional)
Na 0.0000 0.1297 0.6266
Na 0.5000 0.1262 0.3700
Na 0.5000 0.1445 0.8549
Na 0.0000 0.3555 0.3549
Na 0.0000 0.3738 0.8700
Na 0.5000 0.3703 0.1266
Na 0.5000 0.6297 0.8734
Na 0.0000 0.6262 0.1300
Na 0.0000 0.6445 0.6451
Na 0.5000 0.8555 0.1451
Na 0.5000 0.8738 0.6300
Na 0.0000 0.8703 0.3734
Co 0.0000 0.1135 0.1140
Co 0.5000 0.3865 0.6140
Co 0.5000 0.6135 0.3860
Co 0.0000 0.8865 0.8860
O 0.0000 0.0919 0.9028
O 0.0000 0.1057 0.3116
O 0.5000 0.1909 0.6056
O 0.0000 0.3091 0.1056
O 0.5000 0.3943 0.8116
O 0.5000 0.4081 0.4028
O 0.5000 0.5919 0.5972
O 0.5000 0.6057 0.1884
O 0.0000 0.6909 0.8944
O 0.5000 0.8091 0.3944
O 0.0000 0.8943 0.6884
O 0.0000 0.9081 0.0972



Compound: Li3VB2O6
Source: Materials Project
Functional: GGA+U
Structure: optimized geometry

The calculation puts the formation enthalpy at 0 K at -2608.2 meV/atom. The total energy is -6.944 eV per atom.

a b c (Å): 8.1009 8.2556 8.1936
angles (deg): 75.56 76.93 76.52
Element x y z (fractional)
Li 0.9265 0.5437 0.3643
Li 0.9266 0.0437 0.8641
Li 0.0735 0.4563 0.6357
Li 0.0734 0.9562 0.1359
Li 0.2612 0.1795 0.8594
Li 0.2613 0.6796 0.3595
Li 0.7388 0.8205 0.1405
Li 0.7388 0.3204 0.6405
Li 0.6149 0.5366 0.2080
Li 0.6150 0.0363 0.7079
Li 0.3851 0.4634 0.7921
Li 0.3851 0.9636 0.2921
V 0.2739 0.8545 0.7042
V 0.7262 0.6453 0.7960
V 0.2737 0.3547 0.2041
V 0.7262 0.1456 0.2957
B 0.5706 0.1660 0.0002
B 0.5706 0.6660 0.5004
B 0.4295 0.8340 0.9997
B 0.4293 0.3340 0.4997
B 0.9116 0.3276 0.9913
B 0.9114 0.8273 0.4916
B 0.0884 0.6727 0.0085
B 0.0885 0.1726 0.5086
O 0.4010 0.4371 0.3367
O 0.4012 0.9370 0.8367
O 0.5990 0.5631 0.6635
O 0.5990 0.0629 0.1632
O 0.7804 0.3472 0.1340
O 0.7804 0.8465 0.6345
O 0.2196 0.6531 0.8658
O 0.2195 0.1531 0.3658
O 0.0274 0.1800 0.9850
O 0.0274 0.6799 0.4851
O 0.9726 0.8201 0.0148
O 0.9726 0.3200 0.5151
O 0.4106 0.2783 0.9977
O 0.4106 0.7782 0.4978
O 0.5894 0.7216 0.0021
O 0.5893 0.2217 0.5022
O 0.6856 0.1508 0.8550
O 0.6856 0.6507 0.3552
O 0.3145 0.8492 0.1450
O 0.3144 0.3492 0.6449
O 0.0868 0.5339 0.1475
O 0.0872 0.0338 0.6476
O 0.9129 0.4663 0.8523
O 0.9127 0.9661 0.3526